Entry 1:
## Al8Cr5 (PBE-GGA)

Data for a relaxed structure of Al8Cr5.

Structure (extended XYZ):
```
26
Lattice="6.4420 3.7193 2.5971 -6.4420 3.7193 2.5971 0.0000 -7.4386 2.5971" Properties=species:S:1:pos:R:3 pbc="T T T"
Al 0.0000 0.0000 0.0000
Al -2.4863 -3.2411 2.8666
Al -4.0500 -0.5326 2.8666
Al 0.0000 -4.7943 2.0626
Al -4.1520 2.3971 2.0626
Al -1.4304 -0.8259 2.2277
Al -4.1799 -2.4133 5.8077
Al 1.4304 -0.8258 2.2277
Al 0.0000 1.6517 2.2277
Al 2.4863 -3.2411 2.8666
Al -1.5637 3.7737 2.8666
Al 4.0500 -0.5326 2.8666
Al 1.5638 3.7737 2.8666
Al 4.1520 2.3971 2.0626
Al 4.1799 -2.4133 5.8077
Al 0.0000 4.8265 5.8077
Cr 0.0000 -2.5967 3.4889
Cr -2.2488 1.2984 3.4889
Cr -2.2280 -1.2864 4.6229
Cr 0.0000 0.0000 4.2489
Cr 2.2488 1.2984 3.4889
Cr 0.0000 -1.6222 5.8732
Cr -1.4048 0.8111 5.8732
Cr 2.2280 -1.2864 4.6229
Cr 0.0000 2.5727 4.6229
Cr 1.4049 0.8111 5.8732
```

Output
- final energy (eV per cell) = -157.87
- total moment (μB/f.u.) = 3.34
- SG = R3m (160)


Entry 2:
## Al3Cr (PBE-GGA)

Data for a relaxed structure of Al3Cr.

Structure (extended XYZ):
```
4
Lattice="-1.8909 1.8909 4.0458 1.8909 -1.8909 4.0458 1.8909 1.8909 -4.0458" Properties=species:S:1:pos:R:3 pbc="T T T"
Al 0.0000 0.0000 0.0000
Al 1.8909 0.0000 2.0229
Al 0.0000 1.8909 2.0229
Cr 0.0000 0.0000 4.0458
```

Output
- final energy (eV per cell) = -21.45
- SG = I4/mmm (139)


Entry 3:
## AlCr2 (PBE-GGA)

Data for a relaxed structure of AlCr2.

Structure (extended XYZ):
```
3
Lattice="-1.4792 1.4792 4.3227 1.4792 -1.4792 4.3227 1.4792 1.4792 -4.3227" Properties=species:S:1:pos:R:3 pbc="T T T"
Al 0.0000 0.0000 0.0000
Cr 0.0000 0.0000 2.7291
Cr 0.0000 0.0000 5.9163
```

Output
- final energy (eV per cell) = -23.42
- SG = I4/mmm (139)


Entry 4:
## AlCr2 (PBE-GGA)

Data for a relaxed structure of AlCr2.

Structure (extended XYZ):
```
3
Lattice="0.0000 2.1425 6.1038 1.4503 0.0000 6.1038 1.4503 2.1425 0.0000" Properties=species:S:1:pos:R:3 pbc="T T T"
Al 0.0000 0.0000 0.0000
Cr 1.4503 2.1425 3.9813
Cr 1.4503 2.1425 8.2263
```

Output
- final energy (eV per cell) = -22.99
- total moment (μB/f.u.) = 0.00
- SG = Fmmm (69)